No. 1
KLuMo2O8: relaxed, PBE with a Hubbard U.

Cell: 10.7031 10.2651 7.6524 Å, 90.00 130.98 90.00°
Last column: nearest neighbours and their distance in Å.
Space group C2/c (No. 15)
One atom of each set of equivalent atoms:
K1 0.0000 0.1994 0.2500  8 O 2.75-3.04
Lu1 0.0000 0.2284 0.7500  6 O 2.23-2.30
Mo1 0.1979 0.4995 0.2376  4 O 1.80-2.00
O1 0.0225 0.3887 0.9661  2 Mo 2.00-2.12, 1 Lu 2.23
O2 0.1246 0.0829 0.6921  1 Mo 1.81
O3 0.1918 0.4208 0.4415  1 Mo 1.80
O4 0.2212 0.1591 0.1177  1 Mo 1.84

Calculated values
Total magnetization: 0.00 μB/f.u.
Uncorrected energy: -341.855 eV for the cell shown
Formation energy from the elements: -2538 meV/atom
Crystal system: monoclinic


No. 2
V5O14: relaxed, PBE with a Hubbard U.

Cell: 10.5444 10.6829 17.3696 Å, 83.31 86.88 70.67°
Last column: nearest neighbours and their distance in Å.
Space group P-1 (No. 2)
One atom of each set of equivalent atoms:
V1 0.0204 0.1627 0.3604  1 O 1.62
V2 0.0396 0.1077 0.5524  2 O 1.71-1.72
V3 0.1628 0.6718 0.0575  1 O 1.61
V4 0.2045 0.6569 0.5244  1 O 1.61
V5 0.2662 0.9191 0.4354  1 O 1.61
V6 0.2825 0.8626 0.6243  1 O 1.61
V7 0.3052 0.3674 0.0103  1 O 1.62
V8 0.3464 0.4386 0.1837  1 O 1.61
V9 0.4039 0.6225 0.9343  2 O 1.72
V10 0.4498 0.6867 0.1121  1 O 1.62
O1 0.0106 0.7719 0.0579  1 V 1.61
O2 0.0466 0.7247 0.4510  1 V 1.71
O3 0.0658 0.6788 0.6013  2 V 1.82-1.90
O4 0.0840 0.9589 0.3829  3 V 1.93-2.06
O5 0.0961 0.9047 0.5282  2 V 2.10-2.14
O6 0.1192 0.1900 0.2908  1 V 1.62
O7 0.1304 0.8444 0.6832  2 V 1.83-1.91
O8 0.1408 0.1062 0.4563  3 V 1.93-2.06
O9 0.1594 0.5186 0.0124  2 V 1.83-1.91
O10 0.1719 0.0576 0.6150  1 V 1.72
O11 0.1865 0.5700 0.1532  2 V 1.86
O12 0.2397 0.7151 0.9525  1 V 1.72
O13 0.2585 0.2574 0.9739  1 V 1.62
O14 0.2662 0.4990 0.5175  1 V 1.61
O15 0.2711 0.7647 0.0921  2 V 1.82-1.90
O16 0.2874 0.7418 0.4442  2 V 1.82-1.91
O17 0.3087 0.3291 0.1150  2 V 1.82-1.91
O18 0.3099 0.6931 0.5955  2 V 1.86
O19 0.3196 0.3831 0.2710  1 V 1.61
O20 0.3511 0.9084 0.5255  2 V 1.82-1.90
O21 0.3625 0.9484 0.3652  1 V 1.61
O22 0.3757 0.4596 0.9143  3 V 1.93-2.07
O23 0.3978 0.8483 0.6849  1 V 1.61
O24 0.4041 0.5213 0.0469  2 V 2.11-2.12
O25 0.4209 0.5753 0.1934  2 V 1.82-1.90
O26 0.4608 0.6654 0.8439  1 V 1.72
O27 0.4897 0.7110 0.9949  3 V 1.93-2.06
O28 0.4983 0.2057 0.8528  1 V 1.62

Calculated values
Total magnetization: 0.48 μB/f.u.
Uncorrected energy: -531.025 eV for the cell shown
Formation energy from the elements: -1904 meV/atom
Crystal system: triclinic


No. 3
Eu2YWO6: relaxed, PBE with a Hubbard U.

Cell: 8.3915 8.3915 8.3915 Å, 90.00 90.00 90.00°
Last column: nearest neighbours and their distance in Å.
Space group Fm-3m (No. 225)
One atom of each set of equivalent atoms:
Eu1 0.2500 0.2500 0.2500  12 O 2.97
Y1 0.0000 0.0000 0.0000  6 O 2.21
W1 0.0000 0.0000 0.5000  6 O 1.99
O1 0.0000 0.0000 0.2629  1 W 1.99, 1 Y 2.21

Calculated values
Total magnetization: 15.00 μB/f.u.
Uncorrected energy: -363.338 eV for the cell shown
Formation energy from the elements: -2977 meV/atom
Crystal system: cubic


No. 4
Mo2H3C4O8: relaxed, PBE with a Hubbard U.

Cell: 5.9448 12.7257 13.3883 Å, 90.00 90.00 90.00°
Last column: nearest neighbours and their distance in Å.
Space group P2_12_12_1 (No. 19)
One atom of each set of equivalent atoms:
Mo1 0.0221 0.1770 0.3023  4 O 2.19-2.33
Mo2 0.0571 0.9267 0.7085  4 O 2.19-2.35
H1 0.0978 0.1926 0.5711  1 C 1.11
H2 0.1370 0.4490 0.4200  1 C 1.11
H3 0.2035 0.9060 0.4493  1 C 1.10
C1 0.0043 0.7450 0.8809  1 H 1.11
C2 0.0336 0.4995 0.3708  1 H 1.11
C3 0.2137 0.9707 0.3952  1 H 1.10
C4 0.2473 0.2782 0.1151  2 O 1.25
O1 0.0583 0.0397 0.3999  1 C 1.28
O2 0.0859 0.2888 0.1742  1 C 1.25
O3 0.0962 0.7867 0.6048  1 C 1.25
O4 0.1025 0.3071 0.6776  1 C 1.28
O5 0.1199 0.0319 0.8350  1 C 1.28
O6 0.1399 0.5635 0.3136  1 C 1.28
O7 0.1776 0.9882 0.1238  1 C 1.27
O8 0.2164 0.7371 0.8891  1 C 1.27

Calculated values
Total magnetization: 9.06 μB/f.u.
Uncorrected energy: -457.656 eV for the cell shown
Formation energy from the elements: -1056 meV/atom
Crystal system: orthorhombic


No. 5
Li2MnSi2O6: relaxed, PBE with a Hubbard U.

Cell: 10.3043 7.2274 10.0813 Å, 90.00 90.00 90.00°
Last column: nearest neighbours and their distance in Å.
Space group Pmn2_1 (No. 31)
One atom of each set of equivalent atoms:
Li1 0.0000 0.2178 0.0000  2 O 1.87-1.90
Li2 0.0000 0.2385 0.5187  4 O 2.21-2.29
Li3 0.2334 0.7136 0.2079  3 O 2.02-2.10
Li4 0.2377 0.7778 0.7974  3 O 2.00-2.23
Mn1 0.0000 0.0186 0.7680  6 O 2.20-2.33
Mn2 0.0000 0.4782 0.2362  6 O 2.16-2.35
Mn3 0.0000 0.7483 0.0028  6 O 2.12-2.28
Si1 0.0000 0.0120 0.2832  4 O 1.61-1.67
Si2 0.0000 0.4872 0.7248  4 O 1.62-1.67
Si3 0.2250 0.5257 0.5050  4 O 1.62-1.67
Si4 0.2248 0.9751 0.5036  4 O 1.62-1.67
O1 0.0000 0.1880 0.1845  1 Si 1.62
O2 0.0000 0.3122 0.8246  1 Si 1.62
O3 0.0000 0.6971 0.7813  1 Si 1.62
O4 0.0000 0.8035 0.2257  1 Si 1.61
O5 0.1213 0.4474 0.6189  2 Si 1.67
O6 0.1235 0.0506 0.3866  2 Si 1.67
O7 0.1364 0.9576 0.9442  1 Si 1.62
O8 0.1393 0.5509 0.0652  1 Si 1.62
O9 0.1733 0.0575 0.6441  1 Si 1.63
O10 0.1790 0.4565 0.3591  1 Si 1.62
O11 0.2215 0.7510 0.5121  2 Si 1.62-1.63

Calculated values
Total magnetization: 1.67 μB/f.u.
E above lowest polymorph: 61.4 meV/atom
Uncorrected energy: -469.549 eV for the cell shown
Formation energy from the elements: -2775 meV/atom
Crystal system: orthorhombic


No. 6
CoBiO4: relaxed, PBE with a Hubbard U.

Cell: 5.6958 6.8099 8.5683 Å, 90.00 90.00 90.00°
Last column: nearest neighbours and their distance in Å.
Space group Imma (No. 74)
One atom of each set of equivalent atoms:
Co1 0.2500 0.2500 0.2500  6 O 1.92
Bi1 0.0000 0.0000 0.0000  6 O 2.17-2.23
O1 0.0000 0.0613 0.2482  2 Co 1.92
O2 0.2503 0.2500 0.0257  1 Co 1.92

Calculated values
Total magnetization: 0.00 μB/f.u.
Uncorrected energy: -134.981 eV for the cell shown
Formation energy from the elements: -1224 meV/atom
Crystal system: orthorhombic